Below is crystalline MgV3Ag2TeS6 at its relaxed geometry, with properties calculated at the GGA-PBE level.

a b c (Å): 5.5112 5.5830 11.0500
angles (deg): 103.91 83.01 120.43
Atoms (fractional coordinates):
S  0.6632  0.2951  0.3432
S  0.3368  0.6318  0.3432
S  0.6618  0.4252  0.6162
S  0.3384  0.7635  0.6163
S  0.0001  0.0905  0.6193
S  0.0000  0.9628  0.3454
V  0.6700  0.6960  0.4802
V  0.3300  0.0259  0.4801
V  0.0000  0.3578  0.4775
Mg  0.0000  0.4983  0.7679
Ag  0.4096  0.6449  0.1087
Ag  0.5904  0.2352  0.1087
Te  0.9999  0.7183  0.0183

Final energy (eV/atom): -5.546
Symmetry: No. 8
Total moment (μB per atom): 0.000



Below is crystalline La4Sb2Pb at its relaxed geometry, with properties calculated at the GGA-PBE level.

a b c (Å): 8.4572 8.4572 8.4572
angles (deg): 109.57 109.57 109.27
Atoms (fractional coordinates):
Pb  0.7500  0.2500  0.5000
Pb  0.0000  0.0000  0.0000
La  0.4813  0.3769  0.2483
La  0.1269  0.7313  0.7483
La  0.6214  0.8731  0.6044
La  0.9831  0.3786  0.2517
La  0.6231  0.8714  0.1044
La  0.2687  0.0169  0.3956
La  0.7669  0.5187  0.8956
La  0.1286  0.2331  0.7517
Sb  0.8750  0.7498  0.3748
Sb  0.4998  0.1250  0.8748
Sb  0.2502  0.6250  0.1252
Sb  0.3750  0.5002  0.6252

Final energy (eV/atom): -5.488
Symmetry: No. 122



Below is crystalline Nd3NbCl3O6 at its relaxed geometry, with properties calculated at the GGA-PBE level.

a b c (Å): 9.4921 9.4921 5.3287
angles (deg): 90.00 90.00 120.00
Atoms (fractional coordinates):
Nd  0.3131  0.4033  0.7500
Nd  0.4033  0.0902  0.2500
Nd  0.9098  0.3131  0.2500
Nd  0.6869  0.5967  0.2500
Nd  0.5967  0.9098  0.7500
Nd  0.0902  0.6869  0.7500
Nb  0.3333  0.6667  0.2500
Nb  0.6667  0.3333  0.7500
Cl  0.1895  0.2403  0.2500
Cl  0.0508  0.8105  0.2500
Cl  0.2403  0.0508  0.7500
Cl  0.9492  0.1895  0.7500
Cl  0.8105  0.7597  0.7500
Cl  0.7597  0.9492  0.2500
O  0.4798  0.6361  0.4898
O  0.5202  0.3639  0.9898
O  0.1563  0.5202  0.4898
O  0.4798  0.6361  0.0102
O  0.8437  0.4798  0.5102
O  0.8437  0.4798  0.9898
O  0.3639  0.8437  0.4898
O  0.3639  0.8437  0.0102
O  0.5202  0.3639  0.5102
O  0.6361  0.1563  0.9898
O  0.6361  0.1563  0.5102
O  0.1563  0.5202  0.0102

Final energy (eV/atom): -7.332
Symmetry: No. 176
Total moment (μB per atom): 0.006



Below is crystalline Cs4NaHf3H2F19 at its relaxed geometry, with properties calculated at the GGA-PBE level.

a b c (Å): 6.9845 11.6298 13.4700
angles (deg): 69.33 90.00 90.00
Atoms (fractional coordinates):
Cs  0.2500  0.3562  0.4268
Cs  0.7500  0.4760  0.9281
Cs  0.2500  0.9701  0.4163
Cs  0.2500  0.5240  0.0719
Cs  0.7500  0.0299  0.5837
Cs  0.7500  0.8628  0.9241
Cs  0.2500  0.1372  0.0759
Cs  0.7500  0.6438  0.5732
F  0.4177  0.9174  0.7633
F  0.0287  0.8762  0.2410
F  0.4448  0.8013  0.6308
F  0.7500  0.2109  0.9400
F  0.7500  0.4069  0.2664
F  0.4713  0.8762  0.2410
F  0.9177  0.0826  0.2367
F  0.2500  0.5116  0.5841
F  0.2500  0.7891  0.0600
F  0.4461  0.6826  0.8617
F  0.0539  0.6826  0.8617
F  0.7500  0.7835  0.1568
F  0.5823  0.0826  0.2367
F  0.0364  0.5847  0.2588
F  0.2500  0.2832  0.6595
F  0.2500  0.5931  0.7336
F  0.9636  0.4153  0.7412
F  0.9461  0.3174  0.1383
F  0.7500  0.4884  0.4159
F  0.2500  0.7008  0.4388
F  0.2500  0.4000  0.8984
F  0.5552  0.1987  0.3692
F  0.7500  0.6000  0.1016
F  0.0823  0.9174  0.7633
F  0.0552  0.8013  0.6308
F  0.2500  0.2165  0.8432
F  0.7500  0.9072  0.3968
F  0.5287  0.1238  0.7590
F  0.7500  0.0195  0.0832
F  0.2500  0.9805  0.9168
F  0.7500  0.2992  0.5612
F  0.2500  0.0928  0.6032
F  0.5539  0.3174  0.1383
F  0.4636  0.5847  0.2588
F  0.9448  0.1987  0.3692
F  0.7500  0.7168  0.3405
F  0.5364  0.4153  0.7412
F  0.9713  0.1238  0.7590
H  0.7500  0.1311  0.0020
H  0.2500  0.8689  0.9980
H  0.2500  0.6239  0.5040
H  0.7500  0.3761  0.4960
Na  0.2500  0.7363  0.2505
Na  0.7500  0.2637  0.7495
Hf  0.7500  0.2301  0.2510
Hf  0.2500  0.0840  0.7545
Hf  0.7500  0.9160  0.2455
Hf  0.7500  0.5944  0.2525
Hf  0.2500  0.7699  0.7490
Hf  0.2500  0.4056  0.7475

Final energy (eV/atom): -5.918
Symmetry: No. 11
Total moment (μB per atom): 0.000



Below is crystalline SrSi at its relaxed geometry, with properties calculated at the GGA-PBE level.

a b c (Å): 4.0776 4.8300 6.1465
angles (deg): 113.14 90.00 90.00
Atoms (fractional coordinates):
Si  0.7500  0.0635  0.1270
Si  0.2500  0.9365  0.8730
Sr  0.7500  0.3613  0.7227
Sr  0.2500  0.6387  0.2773

Final energy (eV/atom): -4.024
Symmetry: No. 63



Below is crystalline LiPr2C2N4F3 at its relaxed geometry, with properties calculated at the GGA-PBE level.

a b c (Å): 6.7272 6.7272 8.5992
angles (deg): 68.06 68.06 59.13
Atoms (fractional coordinates):
F  0.3089  0.0642  0.6340
F  0.6027  0.3973  0.2500
F  0.0642  0.3089  0.1340
F  0.6911  0.9358  0.3660
F  0.9358  0.6911  0.8660
F  0.3973  0.6027  0.7500
Pr  0.2826  0.2906  0.8321
Pr  0.2906  0.2826  0.3321
Pr  0.7094  0.7174  0.6679
Pr  0.7174  0.7094  0.1679
C  0.7260  0.2254  0.9536
C  0.7746  0.2740  0.5464
C  0.2740  0.7746  0.0464
C  0.2254  0.7260  0.4536
N  0.5648  0.1609  0.0373
N  0.8391  0.4352  0.4627
N  0.2887  0.8843  0.3675
N  0.1609  0.5648  0.5373
N  0.1157  0.7113  0.1325
N  0.7113  0.1157  0.6325
N  0.8843  0.2887  0.8675
N  0.4352  0.8391  0.9627
Li  0.0931  0.9069  0.7500
Li  0.9069  0.0931  0.2500

Final energy (eV/atom): -7.594
Symmetry: No. 15
Total moment (μB per atom): 0.000